! CaMn6SiO12, relaxed, DFT PBE with a Hubbard U; values from VASP
! **Final energy**: -7.56 eV/atom
! **SG**: I4_1/acd (142)
! **Energy of formation**: -2.3853 eV per atom
&SYSTEM
  ibrav = 0, nat = 80, ntyp = 4
/
ATOMIC_SPECIES
Ca 40.08 Ca.upf
Mn 54.94 Mn.upf
Si 28.09 Si.upf
O 16.00 O.upf
CELL_PARAMETERS angstrom
-4.815 4.815 9.594
4.815 -4.815 9.594
4.815 4.815 -9.594
ATOMIC_POSITIONS angstrom
Ca 4.815 2.408 -2.398
Ca 0.000 2.408 2.398
Ca 4.815 2.408 7.195
Ca 0.000 2.408 11.992
Mn 0.000 0.000 0.000
Mn 2.408 2.408 -4.797
Mn 2.408 -2.408 4.797
Mn 4.815 0.000 0.000
Mn 2.531 -0.123 2.398
Mn 7.346 0.123 2.398
Mn 2.408 2.137 0.000
Mn 0.271 0.000 4.797
Mn 5.086 0.000 4.797
Mn 2.408 -2.137 9.594
Mn 2.531 4.692 -2.398
Mn 2.531 0.123 7.195
Mn -2.408 2.408 4.797
Mn 0.000 4.815 0.000
Mn 0.000 0.000 9.594
Mn 2.408 2.408 4.797
Mn 2.285 4.692 2.398
Mn 2.285 0.123 11.992
Mn 2.408 6.952 0.000
Mn -0.271 4.815 4.797
Mn 4.544 4.815 4.797
Mn 2.408 2.678 9.594
Mn -2.531 4.692 7.195
Mn 2.285 4.938 7.195
Si 4.815 -2.408 7.195
Si 4.815 2.408 2.398
Si 0.000 2.408 7.195
Si 0.000 7.223 2.398
O 5.878 3.219 -6.249
O 3.453 0.779 -1.091
O 0.812 1.344 -1.452
O 6.276 1.279 -0.991
O 6.443 -1.046 3.705
O 3.686 -0.946 3.806
O 1.362 0.779 1.091
O 5.878 -1.596 6.249
O 8.169 1.279 0.991
O 1.628 -1.046 5.888
O 3.686 3.869 -3.806
O 4.004 1.344 1.452
O 4.004 -1.344 8.141
O 3.686 5.762 -5.788
O 1.628 1.046 3.705
O 3.354 3.536 -0.991
O 5.878 1.596 3.344
O 1.362 -0.779 8.502
O 3.686 0.946 5.788
O 6.443 1.046 5.888
O 1.461 3.536 0.991
O 5.627 3.471 1.452
O 3.453 -0.779 10.685
O 1.063 1.596 6.249
O 3.752 3.219 3.344
O 1.362 5.594 -1.091
O -0.812 1.344 8.141
O 3.354 1.279 8.602
O -1.628 3.769 3.705
O 1.129 3.869 3.806
O 3.453 5.594 1.091
O -1.063 3.219 6.249
O 1.461 1.279 10.585
O 3.187 3.769 5.888
O 1.129 -0.946 15.382
O 0.812 6.159 1.452
O 0.812 3.471 8.141
O 1.129 0.946 13.399
O 3.187 5.861 3.705
O -3.354 3.536 8.602
O -1.063 6.411 3.344
O 3.453 4.036 8.502
O 1.129 5.762 5.788
O -1.628 5.861 5.888
O -1.461 3.536 10.585
O 4.004 3.471 11.046
O 1.362 4.036 10.685
O -1.063 1.596 15.843



! Li9Mn2Co5O16, relaxed, DFT PBE with a Hubbard U; values from VASP
! **Final energy**: -5.77 eV/atom
! **SG**: P1 (1)
! **Energy relative to the lowest polymorph listed for this composition**: 81.1 meV/atom
! **Energy of formation**: -1.7831 eV per atom
&SYSTEM
  ibrav = 0, nat = 32, ntyp = 4
/
ATOMIC_SPECIES
Li 6.94 Li.upf
Mn 54.94 Mn.upf
Co 58.93 Co.upf
O 16.00 O.upf
CELL_PARAMETERS angstrom
2.995 0.000 0.000
0.328 9.907 0.000
1.370 2.893 9.778
ATOMIC_POSITIONS angstrom
Li 0.000 0.000 0.000
Li 1.431 5.473 8.629
Li 1.713 11.007 6.082
Li 1.602 6.568 3.662
Li 1.502 2.030 1.158
Li 3.094 10.517 8.628
Li 3.043 6.086 6.075
Li 2.947 1.602 3.655
Li 3.179 7.103 1.255
Mn 1.569 8.288 7.335
Mn 2.882 3.299 7.393
Co 1.481 3.793 4.884
Co 1.725 9.326 2.339
Co 1.605 4.861 0.038
Co 3.159 8.778 4.837
Co 3.062 4.325 2.472
O 1.516 9.061 9.138
O 1.704 12.030 7.865
O 1.398 4.470 6.697
O 1.618 7.495 5.539
O 1.690 10.013 4.154
O 1.550 3.073 3.127
O 1.604 5.618 1.809
O 1.725 8.507 0.809
O 2.904 4.137 9.018
O 2.877 6.990 8.020
O 2.782 2.550 5.529
O 3.257 9.588 6.625
O 3.045 8.026 3.094
O 3.194 5.096 4.261
O 3.037 0.647 1.896
O 3.073 3.573 0.693



! Li2Ti2MnNiO8, relaxed, DFT PBE with a Hubbard U; values from VASP
! **Final energy**: -7.20 eV/atom
! **Energy of formation**: -2.5948 eV per atom
&SYSTEM
  ibrav = 0, nat = 28, ntyp = 5
/
ATOMIC_SPECIES
Mn 54.94 Mn.upf
Ti 47.87 Ti.upf
O 16.00 O.upf
Li 6.94 Li.upf
Ni 58.69 Ni.upf
CELL_PARAMETERS angstrom
0.000 4.206 4.206
-8.372 0.051 -0.051
0.050 -4.216 4.216
ATOMIC_POSITIONS angstrom
Mn -5.220 3.184 5.229
Ti -7.300 -1.012 3.115
Ti -3.089 -3.145 5.249
O -7.195 -1.095 1.095
O -3.110 1.221 2.986
Li 0.038 -4.169 4.169
O -2.984 -1.125 5.332
Li -6.266 2.095 2.112
Ni -5.195 1.076 7.337
O -0.891 -1.012 3.325
O -5.103 3.224 3.295
Li -2.055 -2.142 2.142
O -5.338 1.250 5.269
O -0.891 0.882 5.218
Ti -3.140 3.174 3.136
O -7.271 -2.965 2.965
O -5.338 -1.063 2.956
Mn -1.009 -1.052 5.259
O -3.118 0.911 7.502
O -7.406 -0.929 5.135
O -1.126 -2.986 5.299
O -5.103 0.912 0.982
Ni -1.034 1.056 3.151
Li -4.174 0.067 4.139
O -7.330 0.941 3.265
O -3.245 -0.949 0.949
O -1.126 -1.093 7.193
Ti -7.300 1.091 5.219



! Li4FeCo3P4O16, relaxed, DFT PBE with a Hubbard U; values from VASP
! **Final energy**: -6.69 eV/atom
! **SG**: Pm (6)
! **Energy of formation**: -2.3976 eV per atom
&SYSTEM
  ibrav = 0, nat = 28, ntyp = 5
/
ATOMIC_SPECIES
Li 6.94 Li.upf
Fe 55.84 Fe.upf
Co 58.93 Co.upf
P 30.97 P.upf
O 16.00 O.upf
CELL_PARAMETERS angstrom
4.764 0.000 0.000
0.000 6.009 0.000
-0.004 0.000 10.327
ATOMIC_POSITIONS angstrom
Li 0.000 1.498 0.000
Li 0.000 4.510 0.000
Li 2.374 1.501 5.143
Li 2.374 4.508 5.143
Fe 2.507 3.004 8.049
Co 0.099 0.000 7.414
Co 2.276 0.000 2.257
Co 4.657 3.004 2.886
P 0.399 3.004 6.133
P 1.980 3.004 0.976
P 2.777 0.000 9.345
P 4.361 0.000 4.170
O 0.974 3.004 4.687
O 1.047 1.766 6.862
O 1.047 4.242 6.862
O 1.131 0.000 4.139
O 1.238 0.000 9.305
O 1.325 1.772 1.710
O 1.325 4.237 1.710
O 1.391 3.004 9.866
O 3.352 0.000 0.463
O 3.433 1.221 8.608
O 3.433 4.788 8.608
O 3.516 3.004 1.007
O 3.630 3.004 6.162
O 3.703 1.229 3.437
O 3.703 4.780 3.437
O 3.782 0.000 5.619



! Fe6O11F, relaxed, DFT PBE with a Hubbard U; values from VASP
! **Final energy**: -6.15 eV/atom
! **SG**: Amm2 (38)
! **Energy relative to the lowest polymorph listed for this composition**: 2.1 meV/atom
! **Energy of formation**: -1.3967 eV per atom
&SYSTEM
  ibrav = 0, nat = 18, ntyp = 3
/
ATOMIC_SPECIES
Fe 55.84 Fe.upf
O 16.00 O.upf
F 19.00 F.upf
CELL_PARAMETERS angstrom
8.986 0.000 0.000
0.000 3.227 3.307
0.000 -3.227 3.307
ATOMIC_POSITIONS angstrom
Fe 0.000 0.000 0.000
Fe 1.489 0.000 3.306
Fe 2.935 0.000 6.589
Fe 4.493 0.000 3.458
Fe 6.051 0.000 6.589
Fe 7.497 0.000 3.306
O 0.000 -1.232 3.299
O 0.000 1.232 3.299
O 1.433 0.000 5.346
O 1.466 0.000 1.249
O 2.996 -1.238 3.341
O 2.996 1.238 3.341
O 4.493 0.000 5.444
O 5.990 -1.238 3.341
O 5.990 1.238 3.341
O 7.520 0.000 1.249
O 7.553 0.000 5.346
F 4.493 0.000 1.359



! Ba2AlFe2F11, relaxed, DFT PBE with a Hubbard U; values from VASP
! **Final energy**: -5.75 eV/atom
! **SG**: P3_2 (145)
! **Energy of formation**: -3.4976 eV per atom
&SYSTEM
  ibrav = 0, nat = 48, ntyp = 4
/
ATOMIC_SPECIES
Ba 137.33 Ba.upf
Al 26.98 Al.upf
Fe 55.84 Fe.upf
F 19.00 F.upf
CELL_PARAMETERS angstrom
7.449 0.000 0.000
-3.725 6.451 0.000
0.000 0.000 14.537
ATOMIC_POSITIONS angstrom
Ba 1.006 0.096 0.000
Ba 3.204 1.049 6.764
Ba 3.031 3.152 11.610
Ba 4.939 2.250 1.919
Ba 3.305 5.532 4.846
Ba 6.863 0.823 9.691
Al -0.544 3.239 12.719
Al -0.648 5.303 3.028
Al 1.192 4.361 7.873
Fe -0.619 2.806 5.691
Fe -0.985 5.585 10.537
Fe 1.355 2.037 3.187
Fe 1.604 4.512 0.846
Fe 5.008 0.155 12.878
Fe 4.811 4.259 8.032
F -0.195 0.866 2.621
F -2.410 4.879 2.783
F -0.922 2.628 14.339
F -2.877 6.188 7.467
F -1.625 4.730 12.710
F -0.384 3.506 3.587
F 0.704 1.925 12.474
F 0.980 1.574 5.201
F -0.215 3.690 10.941
F 0.441 2.679 7.865
F -0.422 4.793 1.250
F -0.496 5.030 8.432
F -0.988 5.936 4.648
F 2.090 0.999 10.067
F 1.557 2.509 1.182
F 2.823 0.563 2.363
F 0.637 4.420 6.095
F 0.880 4.366 13.278
F 3.314 1.059 13.444
F 1.185 5.494 3.019
F 1.910 4.339 9.493
F 4.498 0.094 10.874
F 2.985 3.052 3.753
F 2.800 3.725 7.209
F 1.706 6.099 7.628
F 5.596 0.062 0.355
F 3.545 4.142 0.376
F 4.876 2.341 8.598
F 5.540 1.310 5.221
F 3.072 5.849 12.312
F 5.551 2.164 12.054
F 5.119 3.849 6.028
F 4.598 4.815 10.046



! Li9Mn2Co5O16, relaxed, DFT PBE with a Hubbard U; values from VASP
! **Final energy**: -5.75 eV/atom
! **SG**: Cm (8)
! **Energy relative to the lowest polymorph listed for this composition**: 103.6 meV/atom
! **Energy of formation**: -1.7606 eV per atom
&SYSTEM
  ibrav = 0, nat = 32, ntyp = 4
/
ATOMIC_SPECIES
Li 6.94 Li.upf
Mn 54.94 Mn.upf
Co 58.93 Co.upf
O 16.00 O.upf
CELL_PARAMETERS angstrom
4.915 -1.439 0.000
4.915 1.439 0.000
-2.983 0.000 20.632
ATOMIC_POSITIONS angstrom
Li 0.000 0.000 0.000
Li -0.646 0.000 5.303
Li 3.712 0.000 7.589
Li 2.251 0.000 17.829
Li 3.047 0.000 12.806
Li 4.528 0.000 2.699
Li 6.415 0.000 6.440
Li 8.258 0.000 10.281
Li 7.542 0.000 15.360
Mn -0.340 0.000 19.272
Mn 7.188 0.000 1.327
Co 1.045 0.000 8.812
Co 0.390 0.000 14.077
Co 1.954 0.000 4.138
Co 4.854 0.000 16.616
Co 5.740 0.000 11.546
O 0.185 0.000 7.219
O -1.266 0.000 17.313
O -0.443 0.000 12.198
O 1.068 0.000 1.769
O 1.185 0.000 16.073
O 3.472 0.000 0.747
O 2.044 0.000 10.952
O 2.835 0.000 5.685
O 4.051 0.000 14.779
O 5.573 0.000 4.421
O 4.919 0.000 9.638
O 3.437 0.000 20.038
O 7.933 0.000 3.063
O 7.183 0.000 8.449
O 5.787 0.000 18.703
O 6.557 0.000 13.477



! Na4MnMo8O47, relaxed, DFT PBE with a Hubbard U; values from VASP
! **Final energy**: -5.94 eV/atom
! **SG**: P-1 (2)
! **Energy of formation**: -0.9577 eV per atom
&SYSTEM
  ibrav = 0, nat = 60, ntyp = 4
/
ATOMIC_SPECIES
Na 22.99 Na.upf
Mn 54.94 Mn.upf
Mo 95.94 Mo.upf
O 16.00 O.upf
CELL_PARAMETERS angstrom
9.001 0.000 0.000
-0.314 9.451 0.000
-2.460 -2.130 11.231
ATOMIC_POSITIONS angstrom
Na -0.863 0.398 4.652
Na 1.710 7.969 1.332
Na 4.516 -0.649 9.899
Na 7.089 6.923 6.579
Mn 4.343 4.725 0.000
Mo 1.279 4.893 3.931
Mo 2.684 2.342 2.383
Mo 2.029 2.221 5.879
Mo 2.128 7.352 7.012
Mo 4.098 -0.032 4.219
Mo 4.197 5.099 5.351
Mo 3.542 4.978 8.847
Mo 4.947 2.428 7.300
O -2.124 0.186 10.584
O -0.908 6.889 4.296
O -1.919 1.403 10.596
O -0.529 5.610 4.460
O -0.090 8.505 3.069
O -1.056 5.459 8.830
O -0.656 4.354 8.456
O -0.339 -0.082 9.403
O 1.038 3.374 2.807
O -0.151 1.128 9.447
O 0.724 3.409 5.473
O 0.414 7.576 6.797
O 1.505 6.051 2.677
O 2.020 1.096 1.381
O 1.257 1.121 6.940
O 2.071 1.255 4.229
O 3.170 5.950 0.181
O 2.201 5.792 5.374
O 3.375 3.547 1.222
O 1.271 7.033 10.932
O 1.954 5.733 8.206
O 3.098 3.909 4.149
O 3.340 8.402 2.881
O 3.270 -1.065 5.615
O 2.887 -1.082 8.350
O 3.129 3.411 7.081
O 4.272 1.587 3.025
O 4.956 0.288 0.298
O 2.851 3.773 10.009
O 4.025 1.529 5.856
O 3.056 1.370 11.050
O 4.155 6.066 7.001
O 4.969 6.200 4.291
O 4.206 6.224 9.850
O 4.722 1.269 8.553
O 5.812 -0.256 4.433
O 5.502 3.911 5.758
O 6.377 6.192 1.784
O 5.188 3.947 8.424
O 6.565 7.402 1.828
O 6.882 2.966 2.775
O 7.282 1.862 2.400
O 6.316 -1.184 8.161
O 6.755 1.710 6.770
O 8.145 5.917 0.635
O 7.134 0.431 6.935
O 8.350 7.134 0.646



! LiNdFe4O12, relaxed, DFT PBE with a Hubbard U; values from VASP
! **Final energy**: -5.97 eV/atom
! **SG**: P4/mmm (123)
! **Energy of formation**: -1.3788 eV per atom
&SYSTEM
  ibrav = 0, nat = 18, ntyp = 4
/
ATOMIC_SPECIES
Li 6.94 Li.upf
Nd 144.24 Nd.upf
Fe 55.84 Fe.upf
O 16.00 O.upf
CELL_PARAMETERS angstrom
5.375 0.000 0.000
0.000 5.375 0.000
0.000 0.000 7.701
ATOMIC_POSITIONS angstrom
Li 0.000 0.000 0.000
Nd 2.687 2.687 3.851
Fe 0.000 2.687 1.875
Fe 0.000 2.687 5.826
Fe 2.687 0.000 1.875
Fe 2.687 0.000 5.826
O 0.000 2.687 0.000
O 0.000 2.687 3.851
O 1.385 1.385 1.993
O 1.385 1.385 5.708
O 1.385 3.990 1.993
O 1.385 3.990 5.708
O 2.687 0.000 0.000
O 2.687 0.000 3.851
O 3.990 1.385 1.993
O 3.990 1.385 5.708
O 3.990 3.990 1.993
O 3.990 3.990 5.708



! Mn2NiO3, relaxed, DFT PBE with a Hubbard U; values from VASP
! **Final energy**: -6.86 eV/atom
! **SG**: Immm (71)
! **Energy relative to the lowest polymorph listed for this composition**: 0.0 meV/atom
! **Energy of formation**: -1.6890 eV per atom
&SYSTEM
  ibrav = 0, nat = 6, ntyp = 3
/
ATOMIC_SPECIES
Mn 54.94 Mn.upf
Ni 58.69 Ni.upf
O 16.00 O.upf
CELL_PARAMETERS angstrom
-1.561 2.208 4.658
1.561 -2.208 4.658
1.561 2.208 -4.658
ATOMIC_POSITIONS angstrom
Mn 0.000 0.000 1.540
Mn 0.000 0.000 7.776
Ni 0.000 0.000 4.658
O 1.561 0.000 0.000
O 1.561 0.000 3.183
O 0.000 2.208 1.475



Question: What is the formula in the sixth record?
Answer: Ba2AlFe2F11



Question: Number 4 is which compound?
Answer: Li4FeCo3P4O16



Question: What is the energy of formation in the eighth record?
Answer: -0.9577 eV per atom



Question: Look up the final energy of the ninth one.
Answer: -5.97 eV/atom